This record from the Materials Project describes a geometry-optimized Cs2Sr2Li3B3P6O24 structure. The functional is PBE-GGA.

## Properties
energy of formation from the pure elements: -280 kJ per mole of atoms
volume: 13.3 Å³/atom
VASP energy: -7.04 eV per atom

Cell and atoms, written as POSCAR:
```
Cs2Sr2Li3B3P6O24
1.0
12.878 0.000 0.000
0.000 12.878 0.000
0.000 0.000 12.878
Li P O Sr Cs B
12 24 96 8 8 12
direct
0.902 0.195 0.939
0.439 0.598 0.805
0.061 0.402 0.305
0.598 0.805 0.439
0.098 0.695 0.561
0.195 0.939 0.902
0.695 0.561 0.098
0.939 0.902 0.195
0.305 0.061 0.402
0.805 0.439 0.598
0.402 0.305 0.061
0.561 0.098 0.695
0.084 0.182 0.445
0.619 0.347 0.138
0.584 0.318 0.555
0.153 0.862 0.119
0.847 0.362 0.381
0.119 0.153 0.862
0.555 0.584 0.318
0.945 0.416 0.818
0.055 0.916 0.682
0.916 0.682 0.055
0.445 0.084 0.182
0.653 0.638 0.881
0.638 0.881 0.653
0.881 0.653 0.638
0.416 0.818 0.945
0.862 0.119 0.153
0.138 0.619 0.347
0.362 0.381 0.847
0.381 0.847 0.362
0.682 0.055 0.916
0.182 0.445 0.084
0.347 0.138 0.619
0.318 0.555 0.584
0.818 0.945 0.416
0.433 0.599 0.301
0.933 0.901 0.699
0.655 0.402 0.598
0.626 0.238 0.082
0.126 0.262 0.918
0.345 0.902 0.902
0.561 0.468 0.359
0.515 0.395 0.110
0.859 0.939 0.532
0.912 0.398 0.288
0.699 0.933 0.901
0.099 0.199 0.567
0.401 0.711 0.898
0.901 0.789 0.102
0.898 0.401 0.711
0.598 0.655 0.402
0.598 0.098 0.845
0.439 0.968 0.141
0.098 0.402 0.155
0.321 0.257 0.624
0.901 0.699 0.933
0.374 0.738 0.418
0.395 0.110 0.515
0.032 0.641 0.061
0.105 0.890 0.015
0.599 0.301 0.433
0.743 0.124 0.179
0.288 0.912 0.398
0.898 0.212 0.088
0.918 0.126 0.262
0.902 0.345 0.902
0.801 0.067 0.401
0.110 0.515 0.395
0.082 0.626 0.238
0.738 0.418 0.374
0.567 0.099 0.199
0.939 0.532 0.859
0.243 0.376 0.821
0.141 0.439 0.968
0.289 0.398 0.099
0.067 0.401 0.801
0.876 0.679 0.757
0.390 0.485 0.895
0.088 0.898 0.212
0.468 0.359 0.561
0.199 0.567 0.099
0.098 0.845 0.598
0.679 0.757 0.876
0.485 0.895 0.390
0.398 0.099 0.289
0.099 0.289 0.398
0.402 0.598 0.655
0.985 0.605 0.610
0.155 0.098 0.402
0.412 0.102 0.712
0.212 0.088 0.898
0.359 0.561 0.468
0.532 0.859 0.939
0.402 0.155 0.098
0.257 0.624 0.321
0.262 0.918 0.126
0.610 0.985 0.605
0.061 0.032 0.641
0.895 0.390 0.485
0.762 0.582 0.874
0.179 0.743 0.124
0.211 0.602 0.599
0.821 0.243 0.376
0.102 0.712 0.412
0.418 0.374 0.738
0.641 0.061 0.032
0.238 0.082 0.626
0.599 0.211 0.602
0.602 0.599 0.211
0.398 0.288 0.912
0.376 0.821 0.243
0.588 0.602 0.788
0.602 0.788 0.588
0.845 0.598 0.098
0.902 0.902 0.345
0.401 0.801 0.067
0.874 0.762 0.582
0.968 0.141 0.439
0.015 0.105 0.890
0.102 0.901 0.789
0.301 0.433 0.599
0.788 0.588 0.602
0.124 0.179 0.743
0.605 0.610 0.985
0.711 0.898 0.401
0.789 0.102 0.901
0.582 0.874 0.762
0.712 0.412 0.102
0.757 0.876 0.679
0.890 0.015 0.105
0.624 0.321 0.257
0.094 0.906 0.406
0.594 0.594 0.594
0.930 0.930 0.930
0.406 0.094 0.906
0.430 0.570 0.070
0.070 0.430 0.570
0.906 0.406 0.094
0.570 0.070 0.430
0.351 0.851 0.649
0.846 0.154 0.654
0.149 0.149 0.149
0.649 0.351 0.851
0.654 0.846 0.154
0.154 0.654 0.846
0.851 0.649 0.351
0.346 0.346 0.346
0.121 0.646 0.133
0.133 0.121 0.646
0.879 0.146 0.367
0.854 0.867 0.621
0.367 0.879 0.146
0.621 0.854 0.867
0.354 0.633 0.379
0.146 0.367 0.879
0.867 0.621 0.854
0.646 0.133 0.121
0.379 0.354 0.633
0.633 0.379 0.354
```